(1)
Crystalline CrCo3O8 at its relaxed geometry. Source: the Materials Project, functional PBE with a Hubbard U.

energy of formation from the pure elements	-1260	meV per atom
symmetry	P6_3mc
corrected total energy (MP2020 scheme)	-7.14	eV/atom
magnetization	5.0	μB/f.u.
ρ	4.89	g/cm³
energy above the lowest structure with this stoichiometry	0.0000	eV per atom

a = 5.629 Å, b = 5.629 Å, c = 8.838 Å
α = 90.00°, β = 90.00°, γ = 120.00°
Element x y z (fractional)
Cr: 0.333 0.667 0.490
Cr: 0.667 0.333 0.990
Co: 0.167 0.833 0.209
Co: 0.167 0.335 0.209
Co: 0.665 0.833 0.209
Co: 0.335 0.167 0.709
Co: 0.833 0.665 0.709
Co: 0.833 0.167 0.709
O: 0.164 0.836 0.607
O: 0.041 0.520 0.334
O: 0.333 0.667 0.101
O: 0.000 0.000 0.316
O: 0.000 0.000 0.816
O: 0.164 0.329 0.607
O: 0.480 0.959 0.334
O: 0.480 0.520 0.334
O: 0.329 0.164 0.107
O: 0.671 0.836 0.607
O: 0.520 0.480 0.834
O: 0.520 0.041 0.834
O: 0.667 0.333 0.601
O: 0.836 0.671 0.107
O: 0.959 0.480 0.834
O: 0.836 0.164 0.107

(2)
Crystalline SrTb2Fe2O7 at its relaxed geometry. Source: the Materials Project, functional PBE with a Hubbard U.

energy of formation from the pure elements	-2899	meV per atom
symmetry	P4_2/mnm
corrected total energy (MP2020 scheme)	-8.11	eV/atom
magnetization	10.0	μB/f.u.
ρ	6.81	g/cm³

a = 5.592 Å, b = 5.592 Å, c = 19.608 Å
α = 90.00°, β = 90.00°, γ = 90.00°
Element x y z (fractional)
Sr: 0.259 0.259 0.000
Sr: 0.241 0.759 0.500
Sr: 0.759 0.241 0.500
Sr: 0.741 0.741 0.000
Tb: 0.277 0.277 0.183
Tb: 0.223 0.777 0.683
Tb: 0.777 0.223 0.683
Tb: 0.777 0.223 0.317
Tb: 0.223 0.777 0.317
Tb: 0.723 0.723 0.183
Tb: 0.277 0.277 0.817
Tb: 0.723 0.723 0.817
Fe: 0.258 0.258 0.399
Fe: 0.242 0.758 0.899
Fe: 0.758 0.242 0.899
Fe: 0.758 0.242 0.101
Fe: 0.242 0.758 0.101
Fe: 0.742 0.742 0.399
Fe: 0.258 0.258 0.601
Fe: 0.742 0.742 0.601
O: 0.705 0.705 0.500
O: 0.795 0.205 0.000
O: 0.205 0.795 0.000
O: 0.295 0.295 0.500
O: 0.186 0.186 0.290
O: 0.314 0.686 0.790
O: 0.686 0.314 0.790
O: 0.686 0.314 0.210
O: 0.314 0.686 0.210
O: 0.814 0.814 0.290
O: 0.186 0.186 0.710
O: 0.814 0.814 0.710
O: 0.000 0.500 0.112
O: 0.000 0.500 0.612
O: 0.500 0.000 0.388
O: 0.500 0.000 0.888
O: 0.000 0.500 0.888
O: 0.000 0.500 0.388
O: 0.500 0.000 0.612
O: 0.500 0.000 0.112
O: 0.000 0.000 0.131
O: 0.500 0.500 0.631
O: 0.500 0.500 0.369
O: 0.000 0.000 0.869
O: 0.000 0.000 0.410
O: 0.500 0.500 0.910
O: 0.500 0.500 0.090
O: 0.000 0.000 0.590

(3)
Crystalline MnV2O7 at its relaxed geometry. Source: the Materials Project, functional PBE with a Hubbard U.

energy of formation from the pure elements	-2008	meV per atom
symmetry	P-1
corrected total energy (MP2020 scheme)	-8.20	eV/atom
magnetization	3.0	μB/f.u.
ρ	2.92	g/cm³

a = 5.845 Å, b = 7.000 Å, c = 7.910 Å
α = 79.92°, β = 82.01°, γ = 74.96°
Element x y z (fractional)
Mn: 0.912 0.657 0.653
Mn: 0.088 0.343 0.347
V: 0.901 0.150 0.761
V: 0.099 0.850 0.239
V: 0.302 0.325 0.908
V: 0.698 0.675 0.092
O: 0.608 0.186 0.870
O: 0.392 0.814 0.130
O: 0.114 0.161 0.904
O: 0.886 0.839 0.096
O: 0.917 0.343 0.593
O: 0.083 0.657 0.407
O: 0.975 0.930 0.688
O: 0.025 0.070 0.312
O: 0.225 0.519 0.750
O: 0.775 0.481 0.250
O: 0.247 0.404 0.105
O: 0.753 0.596 0.895
O: 0.635 0.762 0.572
O: 0.365 0.238 0.428

(4)
Crystalline MnP2O7 at its relaxed geometry. Source: the Materials Project, functional PBE with a Hubbard U.

energy of formation from the pure elements	-2154	meV per atom
symmetry	P-1
corrected total energy (MP2020 scheme)	-7.62	eV/atom
magnetization	1.0	μB/f.u.
ρ	2.81	g/cm³
energy above the lowest structure with this stoichiometry	0.2297	eV per atom

a = 5.207 Å, b = 6.273 Å, c = 9.104 Å
α = 102.43°, β = 102.62°, γ = 103.85°
Element x y z (fractional)
Mn: 0.252 0.753 0.357
Mn: 0.748 0.247 0.643
P: 0.121 0.233 0.385
P: 0.288 0.174 0.854
P: 0.712 0.826 0.146
P: 0.879 0.767 0.615
O: 0.273 0.450 0.353
O: 0.327 0.091 0.410
O: 0.513 0.244 0.777
O: 0.930 0.700 0.163
O: 0.610 0.795 0.971
O: 0.993 0.721 0.475
O: 0.129 0.904 0.768
O: 0.871 0.096 0.232
O: 0.007 0.279 0.525
O: 0.390 0.205 0.029
O: 0.070 0.300 0.837
O: 0.487 0.756 0.223
O: 0.673 0.909 0.590
O: 0.727 0.550 0.647

(5)
Crystalline LiFe8O14F2 at its relaxed geometry. Source: the Materials Project, functional PBE with a Hubbard U.

energy of formation from the pure elements	-1521	meV per atom
symmetry	P1
corrected total energy (MP2020 scheme)	-7.23	eV/atom
magnetization	35.0	μB/f.u.
ρ	4.49	g/cm³
energy above the lowest structure with this stoichiometry	0.0196	eV per atom

a = 4.712 Å, b = 4.727 Å, c = 11.896 Å
α = 89.92°, β = 89.68°, γ = 89.70°
Element x y z (fractional)
Li: 0.976 0.500 0.878
Fe: 0.005 0.993 0.011
Fe: 0.000 0.991 0.254
Fe: 0.030 0.019 0.501
Fe: 0.008 0.991 0.743
Fe: 0.500 0.492 0.127
Fe: 0.500 0.488 0.632
Fe: 0.472 0.530 0.878
Fe: 0.501 0.491 0.372
O: 0.200 0.807 0.133
O: 0.217 0.817 0.621
O: 0.186 0.835 0.878
O: 0.202 0.812 0.377
O: 0.273 0.334 0.996
O: 0.306 0.302 0.249
O: 0.323 0.319 0.499
O: 0.270 0.337 0.762
O: 0.703 0.670 0.997
O: 0.698 0.679 0.252
O: 0.708 0.671 0.760
O: 0.799 0.176 0.130
O: 0.816 0.183 0.377
O: 0.809 0.186 0.623
F: 0.715 0.688 0.501
F: 0.769 0.174 0.878

(6)
Crystalline Li9Mn2Co5O16 at its relaxed geometry. Source: the Materials Project, functional PBE with a Hubbard U.

energy of formation from the pure elements	-1799	meV per atom
symmetry	P-1
corrected total energy (MP2020 scheme)	-6.49	eV/atom
magnetization	9.1	μB/f.u.
ρ	4.18	g/cm³
energy above the lowest structure with this stoichiometry	0.0654	eV per atom

a = 5.140 Å, b = 5.854 Å, c = 9.703 Å
α = 89.12°, β = 79.59°, γ = 89.56°
Element x y z (fractional)
Li: 0.254 0.999 0.752
Li: 0.998 0.260 0.002
Li: 0.253 0.504 0.754
Li: 0.002 0.740 0.998
Li: 0.501 0.750 0.500
Li: 0.499 0.250 0.500
Li: 0.747 0.496 0.246
Li: 0.746 0.001 0.248
Li: 0.500 0.500 0.000
Mn: 0.755 0.749 0.755
Mn: 0.245 0.251 0.245
Co: 0.500 0.000 0.000
Co: 0.000 0.500 0.500
Co: 0.744 0.253 0.759
Co: 0.256 0.747 0.241
Co: 0.000 0.000 0.500
O: 0.102 0.751 0.626
O: 0.876 0.986 0.865
O: 0.104 0.259 0.621
O: 0.875 0.510 0.865
O: 0.362 0.486 0.364
O: 0.347 0.009 0.373
O: 0.584 0.236 0.127
O: 0.592 0.767 0.127
O: 0.408 0.233 0.873
O: 0.125 0.490 0.135
O: 0.416 0.764 0.873
O: 0.124 0.014 0.135
O: 0.653 0.991 0.627
O: 0.638 0.514 0.636
O: 0.896 0.741 0.379
O: 0.898 0.249 0.374

(7)
Crystalline VBiPbO5 at its relaxed geometry. Source: the Materials Project, functional PBE with a Hubbard U.

energy of formation from the pure elements	-2024	meV per atom
symmetry	P1
corrected total energy (MP2020 scheme)	-7.20	eV/atom
magnetization	0.0	μB/f.u.
ρ	6.81	g/cm³
energy above the lowest structure with this stoichiometry	0.0000	eV per atom

a = 5.831 Å, b = 7.318 Å, c = 7.329 Å
α = 106.29°, β = 97.95°, γ = 112.39°
Element x y z (fractional)
V: 0.422 0.693 0.621
V: 0.735 0.393 0.925
Bi: 0.988 0.011 0.019
Bi: 0.167 0.077 0.524
Pb: 0.761 0.357 0.385
Pb: 0.392 0.733 0.158
O: 0.320 0.066 0.270
O: 0.946 0.326 0.058
O: 0.919 0.664 0.972
O: 0.623 0.246 0.668
O: 0.835 0.024 0.273
O: 0.527 0.849 0.876
O: 0.686 0.724 0.534
O: 0.479 0.355 0.022
O: 0.223 0.762 0.478
O: 0.231 0.425 0.581

(8)
Crystalline SrLiCoF6 at its relaxed geometry. Source: the Materials Project, functional PBE with a Hubbard U.

energy of formation from the pure elements	-3055	meV per atom
symmetry	P2_1/c
corrected total energy (MP2020 scheme)	-5.52	eV/atom
magnetization	0.0	μB/f.u.
ρ	3.62	g/cm³

a = 8.826 Å, b = 5.374 Å, c = 10.365 Å
α = 87.37°, β = 90.00°, γ = 90.00°
Element x y z (fractional)
Sr: 0.705 0.753 0.499
Sr: 0.205 0.247 0.001
Sr: 0.795 0.753 0.999
Sr: 0.295 0.247 0.501
Li: 0.078 0.716 0.745
Li: 0.578 0.284 0.755
Li: 0.922 0.284 0.255
Li: 0.422 0.716 0.245
Co: 0.916 0.215 0.741
Co: 0.416 0.785 0.759
Co: 0.584 0.215 0.241
Co: 0.084 0.785 0.259
F: 0.265 0.609 0.863
F: 0.252 0.883 0.152
F: 0.095 0.082 0.357
F: 0.748 0.117 0.848
F: 0.951 0.491 0.860
F: 0.423 0.368 0.149
F: 0.923 0.632 0.351
F: 0.077 0.368 0.649
F: 0.049 0.509 0.140
F: 0.038 0.002 0.862
F: 0.405 0.082 0.857
F: 0.752 0.117 0.348
F: 0.905 0.918 0.643
F: 0.462 0.002 0.362
F: 0.577 0.632 0.851
F: 0.962 0.998 0.138
F: 0.765 0.391 0.637
F: 0.595 0.918 0.143
F: 0.538 0.998 0.638
F: 0.549 0.491 0.360
F: 0.235 0.609 0.363
F: 0.451 0.509 0.640
F: 0.248 0.883 0.652
F: 0.735 0.391 0.137